The following is a GGA-PBE calculation of a relaxed SrNbO3 crystal, from Materials Project.

- E (MP2020): -170.159 eV/cell
- Energy: -161.9 eV for the cell shown
- Energy of formation: -3.181 eV per atom

The structure in extended XYZ format:
```
20
Lattice="5.755 0.000 0.000 0.000 8.197 0.000 0.000 0.000 5.752" Properties=species:S:1:pos:R:3 pbc="T T T"
Sr 0.101 2.049 0.002
Sr 2.777 6.147 2.877
Sr 2.978 2.049 2.874
Sr 5.654 6.147 5.750
Nb 0.000 0.000 2.876
Nb 0.000 4.098 2.876
Nb 2.877 0.000 0.000
Nb 2.877 4.098 0.000
O 0.033 6.147 2.659
O 1.261 4.253 4.492
O 1.261 8.042 4.492
O 1.616 0.155 1.617
O 1.616 3.943 1.617
O 2.845 2.049 5.535
O 2.910 6.147 0.217
O 4.138 4.253 4.135
O 4.138 8.042 4.135
O 4.494 0.155 1.259
O 4.494 3.943 1.259
O 5.722 2.049 3.093
```